Run 1
Computed, not measured: an optimized crystal structure of HoCO4 at the PBE level of DFT.

Unit cell a=12.0379 b=12.0379 c=9.6540 alpha=90.00 beta=90.00 gamma=120.00
Closest atoms and distances in Å follow each position.
Fractional positions:
Ho 0.5441 0.1017 0.2428  9 O 2.31-2.54
Ho 0.2134 0.7765 0.2428  9 O 2.34-2.56
Ho 0.2308 0.1180 0.2612  9 O 2.32-2.59
Ho 0.2134 0.7765 0.7572  9 O 2.34-2.56
Ho 0.5441 0.1017 0.7572  9 O 2.31-2.54
Ho 0.2235 0.4369 0.2428  9 O 2.34-2.56
Ho 0.2308 0.1180 0.7388  9 O 2.32-2.59
Ho 0.8983 0.4424 0.7572  9 O 2.31-2.54
Ho 0.8820 0.1128 0.2612  9 O 2.32-2.59
Ho 0.8983 0.4424 0.2428  9 O 2.31-2.54
Ho 0.5631 0.7866 0.7572  9 O 2.34-2.56
Ho 0.2235 0.4369 0.7572  9 O 2.34-2.56
Ho 0.5576 0.4559 0.2428  9 O 2.31-2.54
Ho 0.5631 0.7866 0.2428  9 O 2.34-2.56
Ho 0.5576 0.4559 0.7572  9 O 2.31-2.54
Ho 0.8872 0.7692 0.7388  9 O 2.32-2.59
Ho 0.8820 0.1128 0.7388  9 O 2.32-2.59
Ho 0.8872 0.7692 0.2612  9 O 2.32-2.59
O 0.8449 0.4179 0.5000  1 C 1.29
O 0.3209 0.9959 0.1923  3 Ho 2.32-2.38, 3 O 2.52-2.57
O 0.5073 0.5998 0.6180  1 C 1.29
O 0.8587 0.0348 0.5000  1 C 1.30
O 0.0925 0.4927 0.3820  1 C 1.29
O 0.4169 0.1600 0.3828  1 C 1.29
O 0.8224 0.5643 0.8829  1 C 1.29
O 0.7431 0.5831 0.6172  1 C 1.29
O 0.1826 0.2519 0.8829  1 C 1.29
O 0.5170 0.1553 0.0000  1 C 1.30
O 0.0840 0.2334 0.6172  1 C 1.29
O 0.7481 0.9307 0.8829  1 C 1.29
O 0.6593 0.0030 0.6941  3 Ho 2.31-2.36, 2 O 2.48-2.58
O 0.5821 0.4271 0.5000  1 C 1.29
O 0.4831 0.9054 0.8836  1 C 1.29
O 0.3333 0.6667 0.7505  3 Ho 2.40
O 0.7666 0.8506 0.6172  1 C 1.29
O 0.9056 0.0906 0.0000  1 C 1.30
O 0.7420 0.1776 0.1171  1 C 1.29
O 0.0925 0.4927 0.6180  1 C 1.29
O 0.5056 0.7019 0.0000  1 C 1.29
O 0.0946 0.5777 0.8836  1 C 1.29
O 0.7431 0.5831 0.3828  1 C 1.29
O 0.1761 0.1413 0.5000  1 C 1.30
O 0.0946 0.5777 0.1164  1 C 1.29
O 0.4223 0.5169 0.1164  1 C 1.29
O 0.0000 0.0000 0.7564  3 Ho 2.41
O 0.3209 0.9959 0.8077  3 Ho 2.32-2.38, 3 O 2.52-2.57
O 0.4169 0.1600 0.6172  1 C 1.29
O 0.0041 0.3251 0.1923  3 Ho 2.32-2.38, 3 O 2.52-2.57
O 0.6749 0.6791 0.8077  3 Ho 2.32-2.38, 3 O 2.52-2.57
O 0.1962 0.4944 0.0000  1 C 1.29
O 0.0840 0.2334 0.3828  1 C 1.29
O 0.5164 0.7623 0.5000  1 C 1.30
O 0.2377 0.7540 0.5000  1 C 1.30
O 0.9094 0.8151 0.0000  1 C 1.30
O 0.3437 0.3407 0.3059  3 Ho 2.31-2.36, 2 O 2.48-2.58
O 0.0693 0.8174 0.1171  1 C 1.29
O 0.4002 0.9075 0.3820  1 C 1.29
O 0.0000 0.0000 0.2436  3 Ho 2.41
O 0.3333 0.6667 0.2495  3 Ho 2.40
O 0.6749 0.6791 0.1923  3 Ho 2.32-2.38, 3 O 2.52-2.57
O 0.6593 0.0030 0.3059  3 Ho 2.31-2.36, 2 O 2.48-2.58
O 0.9970 0.6563 0.6941  3 Ho 2.31-2.36, 2 O 2.48-2.58
O 0.1494 0.9160 0.6172  1 C 1.29
O 0.3437 0.3407 0.6941  3 Ho 2.31-2.36, 2 O 2.48-2.58
O 0.1494 0.9160 0.3828  1 C 1.29
O 0.7420 0.1776 0.8829  1 C 1.29
O 0.9970 0.6563 0.3059  3 Ho 2.31-2.36, 2 O 2.48-2.58
O 0.4357 0.2580 0.8829  1 C 1.29
O 0.4223 0.5169 0.8836  1 C 1.29
O 0.6667 0.3333 0.7440  3 Ho 2.42
O 0.8400 0.2569 0.3828  1 C 1.29
O 0.8224 0.5643 0.1171  1 C 1.29
O 0.8400 0.2569 0.6172  1 C 1.29
O 0.9652 0.8239 0.5000  1 C 1.30
O 0.4357 0.2580 0.1171  1 C 1.29
O 0.2460 0.4836 0.5000  1 C 1.30
O 0.0693 0.8174 0.8829  1 C 1.29
O 0.5729 0.1551 0.5000  1 C 1.29
O 0.5073 0.5998 0.3820  1 C 1.29
O 0.4002 0.9075 0.6180  1 C 1.29
O 0.2981 0.8038 0.0000  1 C 1.29
O 0.8447 0.3618 0.0000  1 C 1.30
O 0.0041 0.3251 0.8077  3 Ho 2.32-2.38, 3 O 2.52-2.57
O 0.6667 0.3333 0.2560  3 Ho 2.42
O 0.7481 0.9307 0.1171  1 C 1.29
O 0.6382 0.4830 0.0000  1 C 1.30
O 0.4831 0.9054 0.1164  1 C 1.29
O 0.7666 0.8506 0.3828  1 C 1.29
O 0.1826 0.2519 0.1171  1 C 1.29
O 0.1849 0.0944 0.0000  1 C 1.30
C 0.3493 0.8582 0.5000  3 O 1.29-1.30
C 0.1418 0.4911 0.5000  3 O 1.29-1.30
C 0.7992 0.9818 0.0000  3 O 1.29-1.30
C 0.5089 0.6507 0.5000  3 O 1.29-1.30
C 0.0896 0.8860 0.5000  3 O 1.29-1.30
C 0.1826 0.2008 0.0000  3 O 1.29-1.30
C 0.7965 0.9104 0.5000  3 O 1.29-1.30
C 0.8399 0.3080 0.5000  3 O 1.29
C 0.7753 0.2375 0.0000  3 O 1.29-1.30
C 0.1285 0.5502 0.0000  3 O 1.29
C 0.4622 0.2247 0.0000  3 O 1.29-1.30
C 0.0182 0.8174 0.0000  3 O 1.29-1.30
C 0.6920 0.5319 0.5000  3 O 1.29
C 0.4218 0.8715 0.0000  3 O 1.29
C 0.4498 0.5782 0.0000  3 O 1.29
C 0.4681 0.1601 0.5000  3 O 1.29
C 0.1140 0.2035 0.5000  3 O 1.29-1.30
C 0.7625 0.5378 0.0000  3 O 1.29-1.30

Theoretical density (g cm⁻³): 5.94
Size of the total moment (μB/f.u.): 1.0
Space group: P-6 (174)



Run 2
Computed, not measured: an optimized crystal structure of HoCO4 at the PBE level of DFT.

Unit cell a=4.8470 b=7.1086 c=8.8575 alpha=90.00 beta=90.00 gamma=90.00
Closest atoms and distances in Å follow each position.
Fractional positions:
O 0.4557 0.4472 0.2133  1 C 1.28
O 0.5323 0.3125 0.6443  2 Ho 2.20-2.23, 1 O 2.34
O 0.7689 0.5729 0.3673  1 C 1.32
O 0.2311 0.0729 0.1327  1 C 1.32
O 0.8230 0.8815 0.5825  1 C 1.30
O 0.9557 0.0528 0.7867  1 C 1.28
O 0.9677 0.6875 0.1443  2 Ho 2.20-2.23, 1 O 2.34
O 0.5443 0.9472 0.2867  1 C 1.28
O 0.2689 0.9271 0.6327  1 C 1.32
O 0.6770 0.1185 0.0825  1 C 1.30
O 0.7311 0.4271 0.8673  1 C 1.32
O 0.1770 0.3815 0.9175  1 C 1.30
O 0.3230 0.6185 0.4175  1 C 1.30
O 0.4677 0.8125 0.8557  2 Ho 2.20-2.23, 1 O 2.34
O 0.0323 0.1875 0.3557  2 Ho 2.20-2.23, 1 O 2.34
O 0.0443 0.5528 0.7133  1 C 1.28
Ho 0.4719 0.1251 0.8387  5 O 2.20-2.44
Ho 0.9719 0.3749 0.1613  5 O 2.20-2.44
Ho 0.5281 0.6251 0.6613  5 O 2.20-2.44
Ho 0.0281 0.8749 0.3387  5 O 2.20-2.44
C 0.5093 0.5464 0.3296  3 O 1.28-1.32
C 0.0093 0.9536 0.6704  3 O 1.28-1.32
C 0.4907 0.0464 0.1704  3 O 1.28-1.32
C 0.9907 0.4536 0.8296  3 O 1.28-1.32

Theoretical density (g cm⁻³): 5.24
Size of the total moment (μB/f.u.): 1.0
Space group: P2_12_12_1 (19)



Relative to the most stable one, in eV/atom, the structures come out at run 1 0.000; run 2 0.041.



Run 1
Computed, not measured: an optimized crystal structure of IrC4 at the PBE level of DFT.

Unit cell a=4.9490 b=4.9490 c=4.9021 alpha=90.00 beta=90.00 gamma=128.17
Closest atoms and distances in Å follow each position.
Fractional positions:
Ir 0.0000 0.0000 0.0000  4 C 2.19
Ir 0.5000 0.5000 0.5000  4 C 2.19
C 0.1825 0.6492 0.6238  3 C 1.42-1.47
C 0.3508 0.8175 0.3762  3 C 1.42-1.47
C 0.1492 0.6825 0.1238  3 C 1.42-1.47
C 0.6825 0.1492 0.8762  3 C 1.42-1.47
C 0.3175 0.8508 0.8762  3 C 1.42-1.47
C 0.8508 0.3175 0.1238  3 C 1.42-1.47
C 0.6492 0.1825 0.3762  3 C 1.42-1.47
C 0.8175 0.3508 0.6238  3 C 1.42-1.47

Theoretical density (g cm⁻³): 8.45
Size of the total moment (μB/f.u.): 0.0
Space group: Ccce (68)



Run 2
Computed, not measured: an optimized crystal structure of IrC4 at the PBE level of DFT.

Unit cell a=4.8984 b=9.1943 c=7.4621 alpha=90.00 beta=90.00 gamma=90.00
Closest atoms and distances in Å follow each position.
Fractional positions:
C 0.4464 0.7488 0.6926  3 C 1.48-1.52
C 0.0309 0.3831 0.1896  2 C 1.47-1.52
C 0.0536 0.7488 0.1926  3 C 1.48-1.52
C 0.4691 0.8831 0.8104  2 C 1.47-1.52
C 0.6963 0.2392 0.9189  3 C 1.47-1.49
C 0.9464 0.7512 0.6926  3 C 1.48-1.52
C 0.8037 0.2392 0.4189  3 C 1.47-1.49
C 0.0536 0.2488 0.3074  3 C 1.48-1.52
C 0.7279 0.6148 0.4582  2 C 1.47
C 0.1963 0.7608 0.5811  3 C 1.47-1.49
C 0.4691 0.3831 0.6896  2 C 1.47-1.52
C 0.9691 0.1169 0.6896  2 C 1.47-1.52
C 0.5536 0.7512 0.1926  3 C 1.48-1.52
C 0.0309 0.8831 0.3104  2 C 1.47-1.52
C 0.4464 0.2488 0.8074  3 C 1.48-1.52
C 0.8037 0.7392 0.0811  3 C 1.47-1.49
C 0.3037 0.7608 0.0811  3 C 1.47-1.49
C 0.5536 0.2512 0.3074  3 C 1.48-1.52
C 0.5309 0.1169 0.1896  2 C 1.47-1.52
C 0.2721 0.3852 0.5418  2 C 1.47
C 0.3037 0.2608 0.4189  3 C 1.47-1.49
C 0.9691 0.6169 0.8104  2 C 1.47-1.52
C 0.2279 0.3852 0.0418  2 C 1.47
C 0.7279 0.1148 0.0418  2 C 1.47
C 0.7721 0.6148 0.9582  2 C 1.47
C 0.7721 0.1148 0.5418  2 C 1.47
C 0.2721 0.8852 0.9582  2 C 1.47
C 0.6963 0.7392 0.5811  3 C 1.47-1.49
C 0.9464 0.2512 0.8074  3 C 1.48-1.52
C 0.1963 0.2608 0.9189  3 C 1.47-1.49
C 0.5309 0.6169 0.3104  2 C 1.47-1.52
C 0.2279 0.8852 0.4582  2 C 1.47
Ir 0.1259 0.5656 0.3697  5 C 2.09-2.22
Ir 0.6259 0.4344 0.1303  5 C 2.09-2.22
Ir 0.3741 0.5656 0.8697  5 C 2.09-2.22
Ir 0.6259 0.9344 0.3697  5 C 2.09-2.22
Ir 0.1259 0.0656 0.1303  5 C 2.09-2.22
Ir 0.8741 0.4344 0.6303  5 C 2.09-2.22
Ir 0.3741 0.0656 0.6303  5 C 2.09-2.22
Ir 0.8741 0.9344 0.8697  5 C 2.09-2.22

Theoretical density (g cm⁻³): 9.50
Size of the total moment (μB/f.u.): 0.0
Space group: Pbca (61)



Run 3
Computed, not measured: an optimized crystal structure of IrC4 at the PBE level of DFT.

Unit cell a=4.8912 b=4.8912 c=5.9072 alpha=90.00 beta=90.00 gamma=120.00
Closest atoms and distances in Å follow each position.
Fractional positions:
C 0.7145 0.5575 0.1451  2 C 1.50-1.51
C 0.5575 0.7145 0.8549  2 C 1.50-1.51
C 0.4425 0.1571 0.4784  2 C 1.50-1.51
C 0.1571 0.4425 0.5216  2 C 1.50-1.51
C 0.4213 0.4213 0.0000  2 C 1.51
C 0.2855 0.8429 0.1883  2 C 1.50-1.51
C 0.8429 0.2855 0.8117  2 C 1.50-1.51
C 0.1531 0.0000 0.3333  2 C 1.50
C 0.0000 0.1531 0.6667  2 C 1.50
C 0.8469 0.8469 0.0000  2 C 1.50
C 0.0000 0.5787 0.6667  2 C 1.51
C 0.5787 0.0000 0.3333  2 C 1.51
Ir 0.6798 0.6798 0.5000  8 C 2.11-2.27
Ir 0.3202 0.0000 0.8333  8 C 2.11-2.27
Ir 0.0000 0.3202 0.1667  8 C 2.11-2.27

Theoretical density (g cm⁻³): 9.78
Size of the total moment (μB/f.u.): 0.0
Space group: P3_121 (152)



Relative to the most stable one, in eV/atom, the structures come out at run 1 0.000; run 2 0.143; run 3 0.691.



Run 1
Computed, not measured: an optimized crystal structure of IrC4 at the PBE level of DFT.

Unit cell a=4.2380 b=4.2380 c=13.8193 alpha=90.00 beta=90.00 gamma=120.00
Closest atoms and distances in Å follow each position.
Fractional positions:
C 0.6667 0.3333 0.2986  1 C 1.34
C 0.6667 0.3333 0.2014  1 C 1.34
C 0.6679 0.6679 0.5000  3 C 1.41-1.42
C 0.6679 0.0000 0.0000  3 C 1.41-1.42
C 0.0000 0.3321 0.0000  3 C 1.41-1.42
C 0.0000 0.3321 0.5000  3 C 1.41-1.42
C 0.3321 0.3321 0.5000  3 C 1.41-1.42
C 0.0000 0.6679 0.5000  3 C 1.41-1.42
C 0.3333 0.6667 0.7014  1 C 1.34
C 0.6679 0.0000 0.5000  3 C 1.41-1.42
C 0.0000 0.6679 0.0000  3 C 1.41-1.42
C 0.3321 0.0000 0.0000  3 C 1.41-1.42
C 0.6679 0.6679 0.0000  3 C 1.41-1.42
C 0.3333 0.6667 0.7986  1 C 1.34
C 0.3321 0.0000 0.5000  3 C 1.41-1.42
C 0.3321 0.3321 0.0000  3 C 1.41-1.42
Ir 0.0000 0.0000 0.7500  3 Ir 2.45, 6 C 2.54
Ir 0.0000 0.0000 0.2500  3 Ir 2.45, 6 C 2.54
Ir 0.3333 0.6667 0.2500  3 Ir 2.45, 6 C 2.54
Ir 0.6667 0.3333 0.7500  3 Ir 2.45, 6 C 2.54

Theoretical density (g cm⁻³): 7.42
Size of the total moment (μB/f.u.): 0.0
Space group: P6_3/mmc (194)



Run 2
Computed, not measured: an optimized crystal structure of IrC4 at the PBE level of DFT.

Unit cell a=3.8213 b=4.1476 c=5.5729 alpha=80.33 beta=90.00 gamma=90.00
Closest atoms and distances in Å follow each position.
Fractional positions:
C 0.0799 0.5481 0.6081  3 C 1.46-1.48
C 0.1694 0.3078 0.2351  2 C 1.47-1.48
C 0.5799 0.4519 0.8919  3 C 1.46-1.48
C 0.8306 0.6922 0.7649  2 C 1.47-1.48
C 0.6694 0.6922 0.2649  2 C 1.47-1.48
C 0.9201 0.4519 0.3919  3 C 1.46-1.48
C 0.4201 0.5481 0.1081  3 C 1.46-1.48
C 0.3306 0.3078 0.7351  2 C 1.47-1.48
Ir 0.0000 0.0000 0.0000  4 C 2.08-2.18
Ir 0.5000 0.0000 0.5000  4 C 2.08-2.18

Theoretical density (g cm⁻³): 9.16
Size of the total moment (μB/f.u.): 0.0
Space group: P2_1/c (14)



Relative to the most stable one, in eV/atom, the structures come out at run 1 0.000; run 2 0.048.